*one*
Pr2Mo3O12: relaxed, PBE+U.

Properties
Space group: P-42_1m

Unit cell a=7.6662 b=7.6662 c=11.0438 alpha=90.00 beta=90.00 gamma=90.00
Fractional positions:
Pr1 0.1885 0.6885 0.7384
Pr2 0.8115 0.3115 0.7384
Pr3 0.6885 0.8115 0.2616
Pr4 0.3115 0.1885 0.2616
Mo1 0.2081 0.7081 0.3569
Mo2 0.7919 0.2919 0.3569
Mo3 0.7081 0.7919 0.6431
Mo4 0.2919 0.2081 0.6431
Mo5 0.0000 0.0000 0.0000
Mo6 0.5000 0.5000 0.0000
O1 0.9995 0.2262 0.2994
O2 0.0005 0.7738 0.2994
O3 0.2262 0.0005 0.7006
O4 0.5005 0.7262 0.7006
O5 0.7738 0.9995 0.7006
O6 0.4995 0.2738 0.7006
O7 0.2738 0.5005 0.2994
O8 0.7262 0.4995 0.2994
O9 0.1860 0.0402 0.0946
O10 0.8140 0.9598 0.0946
O11 0.0402 0.8140 0.9054
O12 0.3140 0.5402 0.9054
O13 0.9598 0.1860 0.9054
O14 0.6860 0.4598 0.9054
O15 0.4598 0.3140 0.0946
O16 0.5402 0.6860 0.0946
O17 0.6292 0.1292 0.3116
O18 0.3708 0.8708 0.3116
O19 0.1292 0.3708 0.6884
O20 0.8708 0.6292 0.6884
O21 0.1955 0.6955 0.5177
O22 0.8045 0.3045 0.5177
O23 0.6955 0.8045 0.4823
O24 0.3045 0.1955 0.4823

=====

*two*
Pr2Mo3O12: relaxed, PBE+U.

Properties
Space group: C2/c

Unit cell a=7.0675 b=7.0675 c=12.0745 alpha=80.20 beta=80.20 gamma=114.67
Fractional positions:
Pr1 0.2082 0.4557 0.5887
Pr2 0.5443 0.7918 0.9113
Pr3 0.4557 0.2082 0.0887
Pr4 0.7918 0.5443 0.4113
Mo1 0.7109 0.9621 0.5765
Mo2 0.0379 0.2891 0.9235
Mo3 0.3750 0.6250 0.2500
Mo4 0.2891 0.0379 0.4235
Mo5 0.6250 0.3750 0.7500
Mo6 0.9621 0.7109 0.0765
O1 0.0704 0.4650 0.7884
O2 0.4193 0.8281 0.1179
O3 0.7192 0.1646 0.4624
O4 0.5350 0.9296 0.7116
O5 0.8354 0.2808 0.0376
O6 0.1719 0.5807 0.3821
O7 0.7016 0.6269 0.7835
O8 0.0708 0.9731 0.1023
O9 0.3898 0.3047 0.4567
O10 0.3731 0.2984 0.7165
O11 0.6953 0.6102 0.0433
O12 0.0269 0.9292 0.3977
O13 0.5807 0.1719 0.8821
O14 0.9296 0.5350 0.2116
O15 0.2808 0.8354 0.5376
O16 0.1646 0.7192 0.9624
O17 0.4650 0.0704 0.2884
O18 0.8281 0.4193 0.6179
O19 0.9292 0.0269 0.8977
O20 0.2984 0.3731 0.2165
O21 0.6102 0.6953 0.5433
O22 0.3047 0.3898 0.9567
O23 0.6269 0.7016 0.2835
O24 0.9731 0.0708 0.6023

=====

*one* ends up most stable, edging out the next structure by 1.9 kJ/mol of atoms.